Record 1
Computed, not measured: a relaxed structure of BiRh at the PBE level of DFT.

Results
- E_form (meV/atom) = 138
- space-group type = P6_3/mmc, No. 194
- crystal system = hexagonal

The structure in POSCAR format:
```
BiRh
1.0
3.392 0.000 0.000
-1.696 2.938 0.000
0.000 0.000 8.410
Bi Rh
2 2
Cartesian
0.000 0.000 0.000
0.000 0.000 4.205
0.000 1.958 2.103
1.696 0.979 6.308
```


Record 2
Computed, not measured: a relaxed structure of GaSb4Br4 at the PBE level of DFT.

Results
- E_form (meV/atom) = -683
- space-group type = Pna2_1, No. 33
- crystal system = orthorhombic

The structure in POSCAR format:
```
GaSb4Br4
1.0
18.888 0.000 0.000
0.000 10.399 0.000
0.000 0.000 13.918
Ga Sb Br
8 32 32
Cartesian
0.037 0.080 0.000
3.336 5.433 11.353
6.108 0.233 4.394
9.408 5.280 6.959
9.481 5.119 0.000
12.780 10.166 11.353
15.552 4.966 4.394
18.852 10.319 6.959
1.085 5.791 2.422
1.374 5.632 5.347
1.603 3.086 3.715
3.339 4.008 1.534
3.727 3.776 5.610
3.782 6.917 2.218
3.970 9.908 10.392
4.078 6.764 5.128
5.366 1.565 12.087
5.474 4.708 3.433
5.662 1.717 9.178
5.717 8.975 12.569
6.105 9.208 8.493
7.841 8.286 10.674
8.071 0.433 12.306
8.359 0.591 9.382
10.530 9.808 2.422
10.818 9.967 5.347
11.047 2.113 3.715
12.783 1.192 1.534
13.171 1.424 5.610
13.226 8.682 2.218
13.414 5.691 10.392
13.523 8.835 5.128
14.810 3.635 12.087
14.918 0.492 3.433
15.106 3.483 9.178
15.161 6.624 12.569
15.549 6.391 8.493
17.285 7.313 10.674
17.515 4.767 12.306
17.803 4.608 9.382
0.017 10.158 4.608
1.056 8.439 7.922
1.097 1.898 7.648
2.127 3.407 11.475
2.166 7.120 12.528
2.261 0.055 0.818
3.641 6.025 9.090
3.975 10.361 5.402
5.469 5.161 12.361
5.803 0.825 2.131
7.183 5.255 7.777
7.278 1.921 5.568
7.317 8.607 4.516
8.347 7.098 0.689
8.388 3.239 0.963
9.427 4.958 11.568
9.461 5.441 4.608
10.500 7.160 7.922
10.541 3.302 7.648
11.571 1.792 11.475
11.610 8.479 12.528
11.705 5.145 0.818
13.085 9.574 9.090
13.419 5.238 5.402
14.913 0.038 12.361
15.247 4.375 2.131
16.627 10.344 7.777
16.722 3.279 5.568
16.761 6.992 4.516
17.791 8.502 0.689
17.832 1.961 0.963
18.871 0.241 11.568
```


Record 3
Computed, not measured: a relaxed structure of ScRhO3 at the PBE level of DFT.

Results
- E_form (meV/atom) = -2508
- space-group type = P2_1/c, No. 14
- crystal system = monoclinic

The structure in POSCAR format:
```
ScRhO3
1.0
7.560 0.000 0.000
0.000 7.532 0.000
-7.123 0.000 7.602
Sc Rh O
8 8 24
Cartesian
-1.574 1.754 2.201
-5.135 2.012 6.002
-1.904 5.577 5.513
1.657 5.720 1.712
-1.219 1.811 5.889
2.342 1.955 2.088
5.573 5.520 1.600
2.011 5.778 5.401
0.000 0.000 0.000
-3.561 0.000 3.801
0.000 3.766 0.000
-3.561 3.766 3.801
3.780 0.000 0.000
0.219 0.000 3.801
3.780 3.766 0.000
0.219 3.766 3.801
-6.302 5.636 7.329
-2.740 5.662 3.528
-4.267 4.113 5.727
-0.706 7.185 1.926
-0.189 4.516 1.929
-3.750 6.781 5.729
-1.676 0.771 4.151
1.886 2.995 0.350
1.863 0.275 0.833
-1.698 3.491 4.634
0.441 1.882 2.950
-3.121 1.884 6.751
3.558 5.648 0.851
-0.003 5.649 4.652
2.136 4.041 2.967
-1.425 7.257 6.768
-1.448 4.537 7.251
2.114 6.761 3.451
4.188 0.751 1.872
0.627 3.015 5.673
1.143 0.347 5.675
4.705 3.419 1.874
3.178 1.870 4.074
6.739 1.896 0.273
```